(1)
{"formula": "Fe2PClO4", "functional": "PBE with a Hubbard U", "state": "relaxed", "cell": [[-4.1726, 6.8081, -2.0711], [-0.0598, 0.0428, 8.3579], [7.9115, 0.0702, -3.0843]], "species": ["Fe", "O", "Cl", "Fe", "O", "Fe", "O", "Cl", "O", "Cl", "Fe", "P", "O", "O", "Fe", "O", "O", "Fe", "O", "Fe", "O", "P", "O", "P", "O", "O", "O", "Fe", "O", "Cl", "O", "P"], "frac_coords": [[0.7237, 0.2522, 0.9727], [0.2190, 0.5240, 0.4388], [0.3351, 0.0735, 0.2693], [0.0704, 0.8238, 0.2712], [0.6008, 0.5358, 0.7469], [0.4455, 0.6803, 0.7507], [0.2125, 0.6561, 0.2116], [0.8016, 0.5732, 0.2369], [0.9143, 0.9720, 0.1928], [0.6643, 0.9267, 0.7303], [0.9314, 0.1765, 0.7300], [0.7562, 0.0144, 0.2386], [0.2294, 0.7918, 0.7603], [0.9724, 0.7057, 0.9280], [0.5541, 0.3194, 0.2499], [0.7888, 0.3450, 0.7899], [0.0856, 0.0273, 0.8078], [0.9995, 0.0009, 0.0004], [0.7814, 0.4745, 0.5607], [0.2742, 0.7489, 0.0248], [0.5522, 0.8469, 0.0653], [0.7804, 0.5147, 0.7548], [0.2118, 0.9683, 0.5687], [0.2200, 0.4855, 0.2448], [0.3996, 0.4643, 0.2527], [0.0281, 0.2948, 0.0710], [0.7889, 0.0329, 0.4326], [0.9997, 0.4991, 0.4987], [0.7700, 0.2071, 0.2386], [0.1978, 0.4271, 0.7634], [0.4477, 0.1522, 0.9360], [0.2438, 0.9853, 0.7620]], "crystal_system": "triclinic", "spacegroup": "No. 1", "formation_enthalpy_0k_ev_per_atom": -2.04}

(2)
{"formula": "Fe7Sb3P3Cl3O18", "functional": "PBE with a Hubbard U", "state": "relaxed", "cell": [[-1.7216, 4.9661, 0.3568], [-11.0717, -4.5014, 9.2301], [15.5287, 3.9078, 20.5328]], "species": ["O", "Cl", "Sb", "O", "O", "Cl", "O", "Sb", "O", "O", "O", "Cl", "O", "Sb", "Fe", "Cl", "O", "O", "P", "O", "Fe", "Sb", "Cl", "O", "Fe", "Fe", "O", "Sb", "O", "P", "O", "Sb", "O", "Fe", "O", "O", "P", "O", "O", "O", "Sb", "Fe", "Fe", "O", "O", "O", "O", "O", "O", "Cl", "Cl", "O", "Fe", "P", "O", "Sb", "O", "Fe", "O", "O", "O", "Fe", "O", "Fe", "O", "O", "O", "Fe", "O", "Fe", "O", "O", "Sb", "O", "O", "O", "O", "O", "O", "O", "Fe", "Cl", "Cl", "O", "Fe", "Cl", "O", "Fe", "O", "O", "O", "P", "O", "P", "Fe", "O", "Fe", "Fe", "Fe", "O", "P", "P", "P", "O", "O", "O", "Sb", "P", "O", "O", "Fe", "Fe", "P", "Cl", "O", "Sb", "Fe", "O", "Fe", "Fe", "O", "P", "Sb", "Fe", "Fe", "O", "O", "O", "O", "Fe", "O", "O", "O", "Cl", "O", "O"], "frac_coords": [[0.1661, 0.8323, 0.8918], [0.1225, 0.6247, 0.3753], [0.2498, 0.0591, 0.5202], [0.9716, 0.8345, 0.2468], [0.5533, 0.5278, 0.5460], [0.3775, 0.1247, 0.8753], [0.1661, 0.6677, 0.8918], [0.7502, 0.5591, 0.4798], [0.4467, 0.4722, 0.4540], [0.1553, 0.1545, 0.2181], [0.8413, 0.7500, 0.6866], [0.8900, 0.7500, 0.0001], [0.4716, 0.8345, 0.2532], [0.7498, 0.4409, 0.9798], [0.3073, 0.0689, 0.7861], [0.1225, 0.8753, 0.3753], [0.6661, 0.8323, 0.6082], [0.9125, 0.0263, 0.1758], [0.8164, 0.7500, 0.6265], [0.1697, 0.5781, 0.6378], [0.3145, 0.9648, 0.8917], [0.7262, 0.7500, 0.2907], [0.3775, 0.3753, 0.8753], [0.8303, 0.4219, 0.3622], [0.6927, 0.5689, 0.2139], [0.3131, 0.6455, 0.5717], [0.4170, 0.2500, 0.1012], [0.2262, 0.7500, 0.2093], [0.9716, 0.6655, 0.2468], [0.6836, 0.2500, 0.1265], [0.9125, 0.4737, 0.1758], [0.7498, 0.0591, 0.9798], [0.9170, 0.2500, 0.3988], [0.6869, 0.1455, 0.4283], [0.6708, 0.0041, 0.7798], [0.6553, 0.3455, 0.2819], [0.3164, 0.7500, 0.8735], [0.6697, 0.5781, 0.8622], [0.9470, 0.0561, 0.4637], [0.6553, 0.1545, 0.2819], [0.2502, 0.5591, 0.0202], [0.8145, 0.5352, 0.6083], [0.6927, 0.9311, 0.2139], [0.0533, 0.5278, 0.9540], [0.1553, 0.3455, 0.2181], [0.3303, 0.4219, 0.1378], [0.3292, 0.5041, 0.2202], [0.3292, 0.9959, 0.2202], [0.8447, 0.6545, 0.7819], [0.1100, 0.2500, 0.9999], [0.3900, 0.7500, 0.4999], [0.1697, 0.9219, 0.6378], [0.1927, 0.5689, 0.2861], [0.3198, 0.5646, 0.6883], [0.5875, 0.5263, 0.6758], [0.7502, 0.9409, 0.4798], [0.9470, 0.4439, 0.4637], [0.3145, 0.5352, 0.8917], [0.3447, 0.6545, 0.7181], [0.4125, 0.4737, 0.3242], [0.5830, 0.7500, 0.8988], [0.8131, 0.6455, 0.9283], [0.9467, 0.0278, 0.0460], [0.1869, 0.3545, 0.0717], [0.4716, 0.6655, 0.2532], [0.0284, 0.3345, 0.7532], [0.3339, 0.3323, 0.3918], [0.8073, 0.4311, 0.7139], [0.8339, 0.1677, 0.1082], [0.1855, 0.0352, 0.3917], [0.0533, 0.9722, 0.9540], [0.8447, 0.8455, 0.7819], [0.2738, 0.2500, 0.7093], [0.3447, 0.8455, 0.7181], [0.1708, 0.4959, 0.7202], [0.6708, 0.4959, 0.7798], [0.5284, 0.1655, 0.7468], [0.6661, 0.6677, 0.6082], [0.0530, 0.9439, 0.5363], [0.8292, 0.9959, 0.2798], [0.8131, 0.8545, 0.9283], [0.6225, 0.8753, 0.1247], [0.6225, 0.6247, 0.1247], [0.1708, 0.0041, 0.7202], [0.8145, 0.9648, 0.6083], [0.6100, 0.2500, 0.5001], [0.8339, 0.3323, 0.1082], [0.6869, 0.3545, 0.4283], [0.4470, 0.0561, 0.0363], [0.0530, 0.5561, 0.5363], [0.1587, 0.2500, 0.3134], [0.8198, 0.9354, 0.8117], [0.3339, 0.1677, 0.3918], [0.1802, 0.0646, 0.1883], [0.5943, 0.7500, 0.7503], [0.0875, 0.5263, 0.8242], [0.6855, 0.0352, 0.1083], [0.1869, 0.1455, 0.0717], [0.0943, 0.7500, 0.7497], [0.4125, 0.0263, 0.3242], [0.6802, 0.0646, 0.3117], [0.1836, 0.2500, 0.3735], [0.1802, 0.4354, 0.1883], [0.5533, 0.9722, 0.5460], [0.9467, 0.4722, 0.0460], [0.3413, 0.7500, 0.8134], [0.2498, 0.4409, 0.5202], [0.3198, 0.9354, 0.6883], [0.0830, 0.7500, 0.6012], [0.5530, 0.5561, 0.9637], [0.3131, 0.8545, 0.5717], [0.1927, 0.9311, 0.2861], [0.6802, 0.4354, 0.3117], [0.8775, 0.1247, 0.6247], [0.6587, 0.2500, 0.1866], [0.7738, 0.2500, 0.7907], [0.6855, 0.4648, 0.1083], [0.4467, 0.0278, 0.4540], [0.9057, 0.2500, 0.2503], [0.3073, 0.4311, 0.7861], [0.0875, 0.9737, 0.8242], [0.8198, 0.5646, 0.8117], [0.2502, 0.9409, 0.0202], [0.4057, 0.2500, 0.2497], [0.1855, 0.4648, 0.3917], [0.6697, 0.9219, 0.8622], [0.0284, 0.1655, 0.7532], [0.5530, 0.9439, 0.9637], [0.4470, 0.4439, 0.0363], [0.8073, 0.0689, 0.7139], [0.5284, 0.3345, 0.7468], [0.8292, 0.5041, 0.2798], [0.3303, 0.0781, 0.1378], [0.8775, 0.3753, 0.6247], [0.5875, 0.9737, 0.6758], [0.8303, 0.0781, 0.3622]], "crystal_system": "orthorhombic", "spacegroup": "No. 62", "formation_enthalpy_0k_ev_per_atom": -1.95}